This record from Materials Project describes ErTmZn2 after structural relaxation. The functional is r²SCAN.

Calculated values
Magnetization ... 0.0 μB/f.u.
Electronic total energy ... -22.11 eV per atom
DFT formation energy ... -394 meV/atom

Lattice parameters (Å, degrees): 7.0038 7.0038 7.0038 90.00 90.00 90.00
Last column: nearest neighbours and their distance in Å.
Space group Fm-3m (No. 225)
Inequivalent atoms, fractional coordinates:
Er 0.0000 0.0000 0.0000  8 Zn 3.03
Tm 0.0000 0.0000 0.5000  8 Zn 3.03
Zn 0.2500 0.2500 0.2500  4 Er 3.03, 4 Tm 3.03